1.
Computed, not measured: a relaxed structure of NbS2 at the PBE-GGA level of DFT.

The structure in POSCAR format:
```
NbS2
1.0
-1.094 2.957 1.149
3.138 -0.295 -1.152
-4.673 3.568 -13.638
S Nb
2 1
Direct
0.000 0.000 0.606 S
0.000 0.000 0.394 S
0.667 0.333 0.500 Nb
```

2.
Computed, not measured: a relaxed structure of NbS3 at the PBE-GGA level of DFT.

The structure in POSCAR format:
```
NbS3
1.0
-3.645 -2.140 -2.738
4.506 -4.442 -2.529
-2.699 -6.482 6.558
S Nb
12 4
Direct
0.481 0.123 0.801 S
0.236 0.385 0.560 S
0.119 0.877 0.198 S
0.528 0.368 0.174 S
0.128 0.369 0.170 S
0.472 0.632 0.826 S
0.759 0.134 0.459 S
0.872 0.631 0.830 S
0.241 0.866 0.541 S
0.881 0.123 0.802 S
0.764 0.615 0.440 S
0.519 0.877 0.199 S
0.716 0.402 0.649 Nb
0.718 0.851 0.641 Nb
0.284 0.598 0.351 Nb
0.282 0.149 0.359 Nb
```

3.
Computed, not measured: a relaxed structure of NbS2 at the PBE-GGA level of DFT.

M_tot, μB per formula unit: 0.05

The structure in POSCAR format:
```
NbS2
1.0
-1.931 0.153 2.765
2.207 -2.520 -0.384
20.698 10.706 10.832
S Nb
6 3
Direct
0.714 0.318 0.395 S
0.367 0.802 0.272 S
0.739 0.315 0.728 S
0.733 0.103 0.061 S
0.717 0.244 0.939 S
0.386 0.800 0.605 S
0.062 0.038 0.333 Nb
0.394 0.509 0.000 Nb
0.019 0.043 0.667 Nb
```

4.
Computed, not measured: a relaxed structure of NbS2 at the PBE-GGA level of DFT.

The structure in POSCAR format:
```
NbS2
1.0
0.428 1.681 -2.880
0.428 -1.681 -2.880
-6.178 0.000 -2.880
Nb S
1 2
Direct
0.000 0.000 0.999 Nb
0.587 0.587 0.239 S
0.747 0.747 0.759 S
```

Values for raw total energy, eV/atom, ordered as above
-7.135; -6.383; -7.100; -7.138